(1)
# ErHSO5 (PBE, optimized geometry)
# Raw total energy   -6.720 eV per atom
# Calculated formation energy   -1964 kJ/mol of formula units
# Magnetization   0.000 μB/atom
data_ErHSO5
_chemical_formula_sum 'Er8 H8 S8 O40'
_cell_length_a 7.991
_cell_length_b 10.945
_cell_length_c 10.994
_cell_angle_alpha 90.00
_cell_angle_beta 132.31
_cell_angle_gamma 90.00
_space_group_name_H-M_alt 'P 1 21/c 1'
_space_group_IT_number 14
loop_
_space_group_symop_operation_xyz
'x,y,z'
'-x,-y,-z'
'-x,y+1/2,-z+1/2'
'x,-y+1/2,z+1/2'
loop_
_atom_site_label
_atom_site_fract_x
_atom_site_fract_y
_atom_site_fract_z
Er1 0.214 0.062 0.374
Er2 0.279 0.574 0.591
H1 0.028 0.123 0.869
H2 0.459 0.592 0.146
S1 0.135 0.170 0.635
S2 0.410 0.691 0.366
O1 0.032 0.545 0.631
O2 0.046 0.593 0.901
O3 0.096 0.200 0.158
O4 0.125 0.171 0.496
O5 0.231 0.628 0.352
O6 0.318 0.738 0.204
O7 0.358 0.126 0.784
O8 0.407 0.103 0.072
O9 0.484 0.014 0.357
O10 0.497 0.705 0.981


(2)
# ErH3S3O12 (PBE, optimized geometry)
# Raw total energy   -6.151 eV per atom
# Energy above the lowest structure with this stoichiometry   0.79 kJ/mol of atoms
# Calculated formation energy   -3723 kJ/mol of formula units
# Magnetization   0.000 μB/atom
data_ErH3S3O12
_chemical_formula_sum 'Er4 H12 S12 O48'
_cell_length_a 5.254
_cell_length_b 13.742
_cell_length_c 13.354
_cell_angle_alpha 90.00
_cell_angle_beta 110.75
_cell_angle_gamma 90.00
_space_group_name_H-M_alt 'P 1 21/c 1'
_space_group_IT_number 14
loop_
_space_group_symop_operation_xyz
'x,y,z'
'-x,-y,-z'
'-x,y+1/2,-z+1/2'
'x,-y+1/2,z+1/2'
loop_
_atom_site_label
_atom_site_fract_x
_atom_site_fract_y
_atom_site_fract_z
Er1 0.247 0.195 0.478
H1 0.018 0.509 0.382
H2 0.236 0.641 0.779
H3 0.381 0.577 0.316
S1 0.118 0.560 0.891
S2 0.222 0.623 0.494
S3 0.455 0.701 0.229
O1 0.006 0.193 0.042
O2 0.076 0.600 0.776
O3 0.126 0.089 0.587
O4 0.140 0.045 0.384
O5 0.178 0.553 0.394
O6 0.179 0.711 0.149
O7 0.229 0.565 0.585
O8 0.333 0.212 0.317
O9 0.363 0.608 0.966
O10 0.484 0.732 0.819
O11 0.485 0.668 0.504
O12 0.496 0.594 0.272